A relaxed structure of Sr5B3BrO9. Source: Materials Project, functional GGA-PBE.

Total energy (eV/cell): -500.648
Formation energy (eV per atom): -3.149

The structure in CIF format:
```
data_Sr5B3BrO9
_cell_length_a 10.135
_cell_length_b 14.418
_cell_length_c 7.614
_cell_angle_alpha 90.00
_cell_angle_beta 90.00
_cell_angle_gamma 90.00
_symmetry_space_group_name_H-M 'C 2 2 21'
_symmetry_Int_Tables_number 20
loop_
_symmetry_equiv_pos_as_xyz
'x,y,z'
'-x,-y,z+1/2'
'x,-y,-z'
'-x,y,-z+1/2'
'x+1/2,y+1/2,z'
'-x+1/2,-y+1/2,z+1/2'
'x+1/2,-y+1/2,-z'
'-x+1/2,y+1/2,-z+1/2'
loop_
_atom_site_label
_atom_site_type_symbol
_atom_site_fract_x
_atom_site_fract_y
_atom_site_fract_z
Sr1 Sr 0.000 0.136 0.250
Sr2 Sr 0.000 0.137 0.750
Sr3 Sr 0.136 0.370 0.073
Sr4 Sr 0.243 0.500 0.500
B1 B 0.127 0.000 0.500
B2 B 0.198 0.288 0.472
Br1 Br 0.000 0.441 0.750
O1 O 0.011 0.000 0.000
O2 O 0.121 0.353 0.387
O3 O 0.146 0.201 0.513
O4 O 0.170 0.191 0.013
O5 O 0.192 0.003 0.661
```

A relaxed structure of ZrCr2. Source: Materials Project, functional GGA-PBE.

Total energy (eV/cell): -111.563
Formation energy (eV per atom): -0.012

The structure in CIF format:
```
data_ZrCr2
_cell_length_a 5.0992
_cell_length_b 5.0992
_cell_length_c 8.1078
_cell_angle_alpha 90.00
_cell_angle_beta 90.00
_cell_angle_gamma 120.00
_symmetry_space_group_name_H-M 'P 63/m m c'
_symmetry_Int_Tables_number 194
_symmetry_space_group_name_Hall '-P 6c 2c'
loop_
_atom_site_label
_atom_site_type_symbol
_atom_site_fract_x
_atom_site_fract_y
_atom_site_fract_z
Zr1 Zr 0.3333 0.6667 0.0601
Cr1 Cr 0.0000 0.0000 0.0000
Cr2 Cr 0.1674 0.3349 0.7500
```

A relaxed structure of Ac2IrRh. Source: Materials Project, functional GGA-PBE.

Total energy (eV/cell): -105.753
Formation energy (eV per atom): -0.498

The structure in CIF format:
```
data_Ac2IrRh
_cell_length_a 7.437
_cell_length_b 7.437
_cell_length_c 7.437
_cell_angle_alpha 90.00
_cell_angle_beta 90.00
_cell_angle_gamma 90.00
_symmetry_space_group_name_H-M 'F m -3 m'
_symmetry_Int_Tables_number 225
_symmetry_space_group_name_Hall '-F 4 2 3'
loop_
_atom_site_label
_atom_site_type_symbol
_atom_site_fract_x
_atom_site_fract_y
_atom_site_fract_z
Ac1 Ac 0.250 0.250 0.250
Ir1 Ir 0.000 0.000 0.000
Rh1 Rh 0.000 0.000 0.500
```

A relaxed structure of CeMg6Co. Source: Materials Project, functional GGA-PBE.

Total energy (eV/cell): -43.163
Formation energy (eV per atom): 0.133
E above lowest polymorph (meV/atom): 0

The structure in CIF format:
```
data_CeMg6Co
_cell_length_a 4.840
_cell_length_b 6.213
_cell_length_c 11.884
_cell_angle_alpha 90.00
_cell_angle_beta 90.00
_cell_angle_gamma 90.00
_symmetry_space_group_name_H-M 'A m m 2'
_symmetry_Int_Tables_number 38
loop_
_symmetry_equiv_pos_as_xyz
'x,y,z'
'-x,-y,z'
'-x,y,z'
'x,-y,z'
'x,y+1/2,z+1/2'
'-x,-y+1/2,z+1/2'
'-x,y+1/2,z+1/2'
'x,-y+1/2,z+1/2'
loop_
_atom_site_label
_atom_site_type_symbol
_atom_site_fract_x
_atom_site_fract_y
_atom_site_fract_z
Ce1 Ce 0.000 0.000 0.000
Mg1 Mg 0.000 0.000 0.447
Mg2 Mg 0.000 0.244 0.727
Mg3 Mg 0.500 0.000 0.607
Mg4 Mg 0.500 0.243 0.868
Co1 Co 0.500 0.000 0.068
```

A relaxed structure of Ca4Ta2S9O36. Source: Materials Project, functional GGA-PBE.

Total energy (eV/cell): -689.433
Formation energy (eV per atom): -2.399

The structure in CIF format:
```
data_Ca4Ta2S9O36
_cell_length_a 9.1638
_cell_length_b 9.1638
_cell_length_c 23.3608
_cell_angle_alpha 90.00
_cell_angle_beta 90.00
_cell_angle_gamma 120.00
_symmetry_space_group_name_H-M 'P 3 c 1'
_symmetry_Int_Tables_number 158
loop_
_symmetry_equiv_pos_as_xyz
'x,y,z'
'-y,x-y,z'
'-x+y,-x,z'
'-y,-x,z+1/2'
'-x+y,y,z+1/2'
'x,x-y,z+1/2'
loop_
_atom_site_label
_atom_site_type_symbol
_atom_site_fract_x
_atom_site_fract_y
_atom_site_fract_z
Ca1 Ca 0.0000 0.0000 0.0000
Ca2 Ca 0.0000 0.0000 0.2131
Ca3 Ca 0.3333 0.6667 0.3816
Ca4 Ca 0.6667 0.3333 0.0506
Ta1 Ta 0.3333 0.6667 0.1736
Ta2 Ta 0.6667 0.3333 0.3355
S1 S 0.0163 0.3072 0.1107
S2 S 0.0352 0.3876 0.7742
S3 S 0.3830 0.0568 0.4370
O1 O 0.0021 0.2193 0.7610
O2 O 0.0597 0.2478 0.0590
O3 O 0.1057 0.4736 0.4271
O4 O 0.1244 0.5075 0.7239
O5 O 0.1364 0.4573 0.8251
O6 O 0.1782 0.4814 0.1264
O7 O 0.2129 0.0120 0.1606
O8 O 0.2230 0.0555 0.4363
O9 O 0.4654 0.1171 0.1035
O10 O 0.4843 0.1366 0.4877
O11 O 0.4837 0.1699 0.3828
O12 O 0.5149 0.1345 0.7810
```

A relaxed structure of Na8Si7O18. Source: Materials Project, functional GGA-PBE.

Total energy (eV/cell): -202.724
Formation energy (eV per atom): -2.226
E above lowest polymorph (meV/atom): 588

The structure in CIF format:
```
data_Na8Si7O18
_cell_length_a 6.082
_cell_length_b 7.744
_cell_length_c 11.689
_cell_angle_alpha 102.53
_cell_angle_beta 102.64
_cell_angle_gamma 91.41
_symmetry_space_group_name_H-M 'P 1'
_symmetry_Int_Tables_number 1
loop_
_symmetry_equiv_pos_as_xyz
'x,y,z'
loop_
_atom_site_label
_atom_site_type_symbol
_atom_site_fract_x
_atom_site_fract_y
_atom_site_fract_z
Na1 Na 0.000 0.000 0.000
Na2 Na 0.020 0.621 0.830
Na3 Na 0.125 0.500 0.529
Na4 Na 0.194 0.588 0.130
Na5 Na 0.240 0.284 0.298
Na6 Na 0.598 0.368 0.025
Na7 Na 0.732 0.308 0.563
Na8 Na 0.767 0.036 0.218
Si1 Si 0.211 0.884 0.387
Si2 Si 0.319 0.965 0.796
Si3 Si 0.348 0.309 0.729
Si4 Si 0.390 0.952 0.598
Si5 Si 0.558 0.660 0.444
Si6 Si 0.569 0.730 0.960
Si7 Si 0.758 0.418 0.293
O1 O 0.078 0.910 0.811
O2 O 0.108 0.382 0.690
O3 O 0.131 0.997 0.294
O4 O 0.339 0.659 0.984
O5 O 0.355 0.719 0.337
O6 O 0.384 0.191 0.834
O7 O 0.427 0.171 0.612
O8 O 0.465 0.494 0.484
O9 O 0.509 0.369 0.208
O10 O 0.533 0.877 0.870
O11 O 0.559 0.473 0.757
O12 O 0.605 0.848 0.554
O13 O 0.686 0.545 0.885
O14 O 0.784 0.630 0.386
O15 O 0.789 0.802 0.066
O16 O 0.863 0.293 0.383
O17 O 0.924 0.259 0.124
O18 O 0.943 0.445 0.205
```

A relaxed structure of TaPbF7. Source: Materials Project, functional GGA-PBE.

Total energy (eV/cell): -111.186
Formation energy (eV per atom): -3.317

The structure in CIF format:
```
data_TaPbF7
_cell_length_a 4.996
_cell_length_b 7.434
_cell_length_c 6.891
_cell_angle_alpha 90.00
_cell_angle_beta 94.02
_cell_angle_gamma 90.00
_symmetry_space_group_name_H-M 'P 1 21/m 1'
_symmetry_Int_Tables_number 11
loop_
_symmetry_equiv_pos_as_xyz
'x,y,z'
'-x,-y,-z'
'-x,y+1/2,-z'
'x,-y+1/2,z'
loop_
_atom_site_label
_atom_site_type_symbol
_atom_site_fract_x
_atom_site_fract_y
_atom_site_fract_z
Ta1 Ta 0.034 0.250 0.218
Pb1 Pb 0.486 0.250 0.684
F1 F 0.095 0.750 0.512
F2 F 0.145 0.750 0.051
F3 F 0.173 0.531 0.789
F4 F 0.301 0.079 0.359
F5 F 0.329 0.250 0.049
```

A relaxed structure of CeNiSb2. Source: Materials Project, functional GGA-PBE.

Total energy (eV/cell): -45.706
Formation energy (eV per atom): -0.816

The structure in CIF format:
```
data_CeNiSb2
_cell_length_a 4.391
_cell_length_b 4.391
_cell_length_c 9.507
_cell_angle_alpha 90.00
_cell_angle_beta 90.00
_cell_angle_gamma 90.00
_symmetry_space_group_name_H-M 'P 4/n m m'
_symmetry_Int_Tables_number 129
loop_
_symmetry_equiv_pos_as_xyz
'x,y,z'
'-x,-y,-z'
'-y+1/2,x,z'
'y+1/2,-x,-z'
'-x+1/2,-y+1/2,z'
'x+1/2,y+1/2,-z'
'y,-x+1/2,z'
'-y,x+1/2,-z'
'x+1/2,-y,-z'
'-x+1/2,y,z'
'-y,-x,-z'
'y,x,z'
'-x,y+1/2,-z'
'x,-y+1/2,z'
'y+1/2,x+1/2,-z'
'-y+1/2,-x+1/2,z'
loop_
_atom_site_label
_atom_site_type_symbol
_atom_site_fract_x
_atom_site_fract_y
_atom_site_fract_z
Ce1 Ce 0.250 0.250 0.235
Ni1 Ni 0.250 0.750 0.000
Sb1 Sb 0.250 0.250 0.856
Sb2 Sb 0.250 0.750 0.500
```